A relaxed structure of MgFe8O8F8. Source: the Materials Project, functional GGA+U.

Values from the calculation:
- Total energy: -5.9953 eV/atom
- Formation enthalpy at 0 K: -2.114 eV/atom
- Total magnetic moment: 0.0 μB/f.u.
- Polymorph energy (0 for the lowest one): 16 meV/atom
- E (MP2020): -7.0849 eV per atom
- Mass density: 4.15 Mg/m³
- Calculated volume: 301 Å³ per cell

CIF file:
```
data_MgFe8O8F8
_chemical_formula_sum 'Mg1 Fe8 O8 F8'
_symmetry_space_group_name_H-M 'P 1'
_symmetry_Int_Tables_number 1
_cell_length_a 9.788
_cell_length_b 9.821
_cell_length_c 3.142
_cell_angle_alpha 90.00
_cell_angle_beta 90.00
_cell_angle_gamma 94.93
loop_
_symmetry_equiv_pos_as_xyz
'x,y,z'
loop_
_atom_site_label
_atom_site_type_symbol
_atom_site_fract_x
_atom_site_fract_y
_atom_site_fract_z
O1 O 0.665 0.647 0.000
O2 O 0.861 0.347 0.000
O3 O 0.147 0.160 0.000
O4 O 0.937 0.616 0.500
O5 O 0.164 0.644 0.000
O6 O 0.071 0.915 0.500
O7 O 0.611 0.365 0.500
O8 O 0.107 0.402 0.500
Fe1 Fe 0.019 0.476 0.000
Fe2 Fe 0.766 0.269 0.500
Fe3 Fe 0.775 0.710 0.500
Fe4 Fe 0.226 0.258 0.500
Fe5 Fe 0.481 0.033 0.000
Fe6 Fe 0.009 0.014 0.000
Fe7 Fe 0.545 0.458 0.000
Fe8 Fe 0.117 0.732 0.500
F1 F 0.389 0.129 0.500
F2 F 0.666 0.133 0.000
F3 F 0.896 0.098 0.500
F4 F 0.841 0.850 0.000
F5 F 0.345 0.871 0.000
F6 F 0.433 0.618 0.500
F7 F 0.346 0.353 0.000
F8 F 0.564 0.872 0.500
Mg1 Mg 0.479 0.737 0.000
```